Record 1
Ga3Pt2: relaxed, r2SCAN.

Unit cell a=4.2439 b=4.2439 c=5.2472 alpha=90.00 beta=90.00 gamma=120.00
With the nearest neighbours (Å) after each atom.
Sites, in units of the cell vectors:
Ga 0.0000 0.0000 0.0000  6 Pt 2.60
Ga 0.3333 0.6667 0.6439  5 Pt 2.51-2.74
Ga 0.6667 0.3333 0.3561  5 Pt 2.51-2.74
Pt 0.3333 0.6667 0.1664  8 Ga 2.51-2.74
Pt 0.6667 0.3333 0.8336  8 Ga 2.51-2.74

ρ in g/cm3: 12.16
Crystal system: trigonal


Record 2
CsGd2Ag3Se5: relaxed, r2SCAN.

Unit cell a=8.0469 b=8.0469 c=17.6820 alpha=90.00 beta=90.00 gamma=148.84
With the nearest neighbours (Å) after each atom.
Sites, in units of the cell vectors:
Cs 0.0623 0.9377 0.7500  8 Se 3.62-3.79, 2 Ag 4.01
Cs 0.9377 0.0623 0.2500  8 Se 3.62-3.79, 2 Ag 4.01
Gd 0.1929 0.8071 0.0953  6 Se 2.88-2.96
Gd 0.1929 0.8071 0.4047  6 Se 2.88-2.96
Gd 0.8071 0.1929 0.5953  6 Se 2.88-2.96
Gd 0.8071 0.1929 0.9047  6 Se 2.88-2.96
Ag 0.3448 0.6552 0.7500  4 Se 2.62-2.72
Ag 0.4177 0.5823 0.0399  4 Se 2.69-2.77, 1 Ag 2.92
Ag 0.4177 0.5823 0.4601  4 Se 2.69-2.77, 1 Ag 2.92
Ag 0.5823 0.4177 0.5399  4 Se 2.69-2.77, 1 Ag 2.92
Ag 0.5823 0.4177 0.9601  4 Se 2.69-2.77, 1 Ag 2.92
Ag 0.6552 0.3448 0.2500  4 Se 2.62-2.72
Se 0.1802 0.8198 0.5689  2 Ag 2.69, 3 Gd 2.91-2.96
Se 0.1802 0.8198 0.9311  2 Ag 2.69, 3 Gd 2.91-2.96
Se 0.2507 0.7493 0.2500  2 Ag 2.62, 2 Gd 2.88
Se 0.4318 0.5682 0.6163  3 Ag 2.70-2.77, 2 Gd 2.92
Se 0.4318 0.5682 0.8837  3 Ag 2.70-2.77, 2 Gd 2.92
Se 0.5682 0.4318 0.1163  3 Ag 2.70-2.77, 2 Gd 2.92
Se 0.5682 0.4318 0.3837  3 Ag 2.70-2.77, 2 Gd 2.92
Se 0.7493 0.2507 0.7500  2 Ag 2.62, 2 Gd 2.88
Se 0.8198 0.1802 0.0689  2 Ag 2.69, 3 Gd 2.91-2.96
Se 0.8198 0.1802 0.4311  2 Ag 2.69, 3 Gd 2.91-2.96

ρ in g/cm3: 6.53
Crystal system: orthorhombic


Record 3
Pr2Zn6Ge3: relaxed, r2SCAN.

Unit cell a=7.6203 b=7.6203 c=4.1041 alpha=90.00 beta=90.00 gamma=120.00
With the nearest neighbours (Å) after each atom.
Sites, in units of the cell vectors:
Pr 0.3333 0.6667 0.0000  6 Ge 3.15, 9 Zn 3.24-3.41
Pr 0.6667 0.3333 0.0000  6 Ge 3.15, 9 Zn 3.24-3.41
Zn 0.0000 0.1882 0.0000  2 Zn 2.48, 2 Ge 2.52
Zn 0.0000 0.7111 0.5000  3 Ge 2.53-2.61, 4 Zn 2.82
Zn 0.1882 0.0000 0.0000  2 Zn 2.48, 2 Ge 2.52
Zn 0.2889 0.2889 0.5000  3 Ge 2.53-2.61, 4 Zn 2.82
Zn 0.7111 0.0000 0.5000  3 Ge 2.53-2.61, 4 Zn 2.82
Zn 0.8118 0.8118 0.0000  2 Zn 2.48, 2 Ge 2.52
Ge 0.0000 0.3792 0.5000  5 Zn 2.52-2.61
Ge 0.3792 0.0000 0.5000  5 Zn 2.52-2.61
Ge 0.6208 0.6208 0.5000  5 Zn 2.52-2.61

ρ in g/cm3: 7.18
Crystal system: hexagonal


Record 4
HoGe2Pd: relaxed, r2SCAN.

Unit cell a=9.5165 b=9.5165 c=4.2858 alpha=102.93 beta=102.93 gamma=54.33
With the nearest neighbours (Å) after each atom.
Sites, in units of the cell vectors:
Ho 0.2006 0.2006 0.2007  8 Ge 2.98-3.04, 6 Pd 3.18-3.30
Ho 0.2394 0.7606 0.0000  10 Ge 3.22-3.40, 4 Pd 3.23
Ho 0.7606 0.2394 0.0000  10 Ge 3.22-3.40, 4 Pd 3.23
Ho 0.7994 0.7994 0.7993  8 Ge 2.98-3.04, 6 Pd 3.18-3.30
Ge 0.0737 0.0737 0.5740  1 Ge 2.42, 2 Pd 2.49
Ge 0.1505 0.4511 0.8010  3 Pd 2.46-2.66, 1 Ge 2.61
Ge 0.4267 0.4267 0.4257  1 Ge 2.40, 2 Pd 2.48
Ge 0.4511 0.1505 0.8010  3 Pd 2.46-2.66, 1 Ge 2.61
Ge 0.5489 0.8495 0.1990  3 Pd 2.46-2.66, 1 Ge 2.61
Ge 0.5733 0.5733 0.5743  1 Ge 2.40, 2 Pd 2.48
Ge 0.8495 0.5489 0.1990  3 Pd 2.46-2.66, 1 Ge 2.61
Ge 0.9263 0.9263 0.4260  1 Ge 2.42, 2 Pd 2.49
Pd 0.1037 0.6014 0.3524  5 Ge 2.46-2.66
Pd 0.3986 0.8963 0.6476  5 Ge 2.46-2.66
Pd 0.6014 0.1037 0.3524  5 Ge 2.46-2.66
Pd 0.8963 0.3986 0.6476  5 Ge 2.46-2.66

ρ in g/cm3: 9.07
Crystal system: monoclinic


Number 1: DFT total energy -140.6 eV/cell. Number 2: DFT total energy -523.8 eV/cell. Number 3: DFT total energy -159.2 eV/cell. Number 4: DFT total energy -346.9 eV/cell.